Below is SrCaZrCrO6 after structural relaxation, with properties calculated at the GGA+U level.

formation enthalpy at 0 K: -3039 meV per atom

extended XYZ file:
```
10
Lattice="0.000 -4.010 -4.010 4.010 0.000 -4.010 4.010 -4.010 0.000" Properties=species:S:1:pos:R:3 pbc="T T T"
Sr 6.014 -6.014 -6.014
Ca 2.005 -2.005 -2.005
Zr 4.010 -4.010 -4.010
Cr 0.000 0.000 0.000
O 1.931 -4.010 -4.010
O 6.088 -4.010 -4.010
O 4.010 -6.088 -4.010
O 4.010 -1.931 -4.010
O 4.010 -4.010 -6.088
O 4.010 -4.010 -1.931
```

---

Below is Ca2Ta2CrO8 after structural relaxation, with properties calculated at the GGA+U level.

formation enthalpy at 0 K: -3173 meV per atom

extended XYZ file:
```
52
Lattice="-4.489 0.706 -2.978 -0.749 -10.358 -0.432 -6.509 5.052 10.202" Properties=species:S:1:pos:R:3 pbc="T T T"
Ca -7.496 -2.668 3.247
Ca -4.241 -5.194 -1.853
Ca -4.263 -1.943 3.528
Ca -7.517 0.584 8.629
Ca -5.437 -2.480 0.372
Ca -8.691 0.046 5.472
Ca -6.323 -2.130 6.407
Ca -3.069 -4.656 1.306
Ta -6.648 0.546 2.534
Ta -9.903 3.072 7.635
Ta -5.117 -5.154 4.244
Ta -1.861 -7.679 -0.857
Ta -9.722 -2.995 6.372
Ta -6.467 -5.521 1.271
Ta -2.039 -1.612 0.403
Ta -5.294 0.914 5.503
Cr -4.508 1.376 -0.407
Cr -7.267 -5.972 7.183
Cr -7.765 3.903 4.691
Cr -4.007 -8.503 2.079
O -3.504 0.860 4.380
O -6.759 3.387 9.482
O -8.259 -5.467 2.395
O -5.004 -7.993 -2.705
O -8.591 -3.885 7.737
O -5.337 -6.411 2.636
O -3.171 -0.723 -0.960
O -6.426 1.803 4.141
O -4.999 0.998 1.676
O -8.255 3.526 6.777
O -6.770 -5.598 5.096
O -3.514 -8.125 -0.005
O -10.222 -4.262 5.113
O -6.967 -6.789 0.012
O -1.546 -0.339 1.660
O -4.802 2.186 6.760
O -6.059 -0.685 4.043
O -2.804 -3.211 -1.058
O -5.698 -3.923 2.733
O -8.953 -1.397 7.834
O -3.052 -4.622 3.558
O -6.307 -2.095 8.658
O -8.705 0.017 3.221
O -5.451 -2.509 -1.879
O -3.481 -2.333 1.470
O -6.736 0.193 6.571
O -8.278 -2.279 5.306
O -5.023 -4.805 0.205
O -4.986 -3.463 5.190
O -1.731 -5.990 0.089
O -6.774 -1.145 1.587
O -10.029 1.382 6.688
```

---

Below is Ca4Cr5Te3O18 after structural relaxation, with properties calculated at the GGA+U level.

formation enthalpy at 0 K: -2270 meV per atom

extended XYZ file:
```
60
Lattice="5.028 7.537 0.000 -5.028 7.537 0.000 0.000 1.780 10.775" Properties=species:S:1:pos:R:3 pbc="T T T"
Ca -1.440 11.528 4.183
Ca 0.169 8.502 2.581
Ca -1.440 5.327 6.592
Ca 0.169 8.353 8.195
Ca 3.573 9.400 8.018
Ca 0.451 4.682 9.648
Ca 0.451 12.173 1.127
Ca 3.573 7.455 2.757
Cr -1.567 11.295 10.287
Cr 0.327 2.959 5.017
Cr 0.032 5.568 3.318
Cr -0.996 14.040 8.741
Cr 0.032 11.287 7.457
Cr -4.535 7.537 0.000
Cr -1.573 8.427 5.388
Cr -0.996 2.814 2.034
Cr 0.327 13.895 5.758
Cr -1.567 5.560 0.488
Te 1.956 11.610 9.919
Te -3.196 8.087 2.798
Te -3.196 8.768 7.977
Te 2.002 10.680 4.525
Te 2.002 6.175 6.251
Te 1.956 5.244 0.856
O -1.697 4.693 8.802
O -1.225 10.362 8.739
O -0.225 9.838 6.092
O -3.219 7.255 4.604
O -1.225 6.492 2.036
O -3.219 9.600 6.171
O 2.438 9.417 2.979
O 0.484 2.490 8.881
O -1.689 7.507 7.115
O 1.337 4.574 4.608
O -0.234 9.608 0.667
O -2.260 3.904 0.931
O 0.298 15.105 7.471
O 0.497 12.656 9.041
O -0.234 7.247 10.108
O 1.484 6.596 2.270
O -1.051 13.860 4.565
O 0.497 4.198 1.734
O -0.225 7.017 4.683
O -1.051 2.994 6.210
O 0.746 11.493 3.384
O -1.251 12.841 6.957
O 0.484 14.365 1.894
O 1.484 10.258 8.505
O -0.871 15.374 10.209
O -3.125 7.876 10.480
O -2.260 12.950 9.844
O 2.438 7.437 7.796
O 0.298 1.750 3.304
O -1.251 4.013 3.818
O 0.746 5.361 7.392
O -3.125 8.978 0.295
O -1.689 9.347 3.660
O 1.337 12.280 6.167
O -0.871 1.480 0.566
O -1.697 12.161 1.973
```

---

Below is Ca2TiCrO6 after structural relaxation, with properties calculated at the GGA+U level.

formation enthalpy at 0 K: -3090 meV per atom

extended XYZ file:
```
20
Lattice="5.399 0.000 0.008 0.000 5.459 0.000 0.012 0.000 7.602" Properties=species:S:1:pos:R:3 pbc="T T T"
Ca 2.754 2.944 1.904
Ca 5.351 0.214 1.909
Ca 2.657 2.515 5.706
Ca 0.060 5.245 5.701
Ti 2.706 0.000 3.806
Ti 0.013 2.731 7.600
Cr 2.700 0.001 0.007
Cr 0.008 2.730 3.799
O 4.265 4.286 0.317
O 3.839 1.556 3.496
O 1.124 1.180 4.096
O 1.593 3.910 7.311
O 1.146 1.173 7.294
O 1.571 3.903 4.113
O 4.287 4.279 3.513
O 3.817 1.549 0.300
O 2.300 5.367 1.879
O 0.405 2.638 1.926
O 3.110 0.092 5.731
O 5.006 2.822 5.684
```

---

Short version: theoretical density = 4.7 6.0 4.4 4.1 g cm⁻³, in the order given.
Short version: MP2020-corrected energy = -8.198 -9.093 -7.429 -8.215 eV per atom, in the order given.